Record 1
VASP calculation (PBE with a Hubbard U) on a relaxed Ca2TaMoO6 crystal.

a = 5.5745 Å, b = 7.9589 Å, c = 5.7519 Å
α = 90.00°, β = 90.37°, γ = 90.00°
Atoms (fractional coordinates):
Ca 0.0098 0.2500 0.0438
Ca 0.4904 0.2500 0.5621
Ca 0.5096 0.7500 0.4379
Ca 0.9902 0.7500 0.9562
Ta 0.0000 0.0000 0.5000
Ta 0.0000 0.5000 0.5000
Mo 0.5000 0.0000 0.0000
Mo 0.5000 0.5000 0.0000
O 0.0931 0.7500 0.5331
O 0.1868 0.0524 0.7858
O 0.1868 0.4476 0.7858
O 0.2897 0.0497 0.3117
O 0.2897 0.4503 0.3117
O 0.3820 0.7500 0.0483
O 0.6180 0.2500 0.9517
O 0.7103 0.5497 0.6883
O 0.7103 0.9503 0.6883
O 0.8132 0.5524 0.2142
O 0.8132 0.9476 0.2142
O 0.9069 0.2500 0.4669

Calculated values
Crystal system: monoclinic
Space group: P2_1/m (11)
VASP energy: -7.9925 eV/atom
E (MP2020): -8.725 eV per atom


Record 2
VASP calculation (PBE with a Hubbard U) on a relaxed BaLa4Co5O15 crystal.

a = 9.5779 Å, b = 9.5779 Å, c = 13.4935 Å
α = 117.35°, β = 117.35°, γ = 33.82°
Atoms (fractional coordinates):
Ba 0.0008 0.9992 0.7500
Ba 0.9992 0.0008 0.2500
La 0.1974 0.2075 0.0531
La 0.2075 0.1974 0.5531
La 0.3979 0.3976 0.3505
La 0.3976 0.3979 0.8505
La 0.6024 0.6021 0.1495
La 0.6021 0.6024 0.6495
La 0.7925 0.8026 0.4469
La 0.8026 0.7925 0.9469
Co 0.0000 0.0000 0.0000
Co 0.0000 0.0000 0.5000
Co 0.1977 0.2032 0.3004
Co 0.2032 0.1977 0.8004
Co 0.3979 0.3996 0.1000
Co 0.3996 0.3979 0.6000
Co 0.6004 0.6021 0.4000
Co 0.6021 0.6004 0.9000
Co 0.7968 0.8023 0.1996
Co 0.8023 0.7968 0.6996
O 0.0140 0.5172 0.7712
O 0.0440 0.1706 0.6531
O 0.0769 0.5859 0.1260
O 0.1273 0.5821 0.6580
O 0.1706 0.0440 0.1531
O 0.1946 0.6692 0.0289
O 0.2131 0.7119 0.5549
O 0.2332 0.3635 0.4434
O 0.2881 0.7869 0.9451
O 0.3308 0.8054 0.4711
O 0.3635 0.2332 0.9434
O 0.4141 0.9231 0.3740
O 0.4179 0.8727 0.8420
O 0.4710 0.5290 0.2500
O 0.4828 0.9860 0.7288
O 0.5172 0.0140 0.2712
O 0.5290 0.4710 0.7500
O 0.5821 0.1273 0.1580
O 0.5859 0.0769 0.6260
O 0.6365 0.7668 0.0566
O 0.6692 0.1946 0.5289
O 0.7119 0.2131 0.0549
O 0.7668 0.6365 0.5566
O 0.7869 0.2881 0.4451
O 0.8054 0.3308 0.9711
O 0.8294 0.9560 0.8469
O 0.8727 0.4179 0.3420
O 0.9231 0.4141 0.8740
O 0.9560 0.8294 0.3469
O 0.9860 0.4828 0.2288

Calculated values
Crystal system: monoclinic
Space group: C2/c (15)
VASP energy: -6.9522 eV/atom
E (MP2020): -7.692 eV per atom


Record 3
VASP calculation (PBE with a Hubbard U) on a relaxed Ca2MgV10H32O44 crystal.

a = 11.2381 Å, b = 11.2381 Å, c = 10.8859 Å
α = 115.68°, β = 115.68°, γ = 52.82°
Atoms (fractional coordinates):
Ca 0.2297 0.2297 0.0801
Ca 0.7703 0.7703 0.9199
Mg 0.0000 0.0000 0.5000
V 0.2320 0.5465 0.6757
V 0.3343 0.6657 0.0000
V 0.3444 0.3444 0.8758
V 0.4535 0.7680 0.3243
V 0.4546 0.4546 0.2019
V 0.5454 0.5454 0.7981
V 0.5465 0.2320 0.6757
V 0.6556 0.6556 0.1242
V 0.6657 0.3343 0.0000
V 0.7680 0.4535 0.3243
H 0.0099 0.5137 0.7482
H 0.0202 0.1772 0.1340
H 0.0291 0.8759 0.2286
H 0.0376 0.6201 0.1511
H 0.0558 0.2123 0.5292
H 0.1194 0.6215 0.0646
H 0.1241 0.9709 0.7714
H 0.1509 0.4637 0.3454
H 0.1772 0.0202 0.1340
H 0.2123 0.0558 0.5292
H 0.2618 0.7292 0.5688
H 0.2708 0.7382 0.4312
H 0.3785 0.8806 0.9354
H 0.3799 0.9624 0.8489
H 0.4637 0.1509 0.3454
H 0.4864 0.9901 0.2518
H 0.5137 0.0099 0.7482
H 0.5363 0.8491 0.6546
H 0.6201 0.0376 0.1511
H 0.6215 0.1194 0.0646
H 0.7292 0.2618 0.5688
H 0.7382 0.2708 0.4312
H 0.7877 0.9442 0.4708
H 0.8228 0.9798 0.8660
H 0.8491 0.5363 0.6546
H 0.8759 0.0291 0.2286
H 0.8806 0.3785 0.9354
H 0.9442 0.7877 0.4708
H 0.9624 0.3799 0.8489
H 0.9709 0.1241 0.7714
H 0.9798 0.8228 0.8660
H 0.9901 0.4864 0.2518
O 0.0189 0.6740 0.0880
O 0.0196 0.0196 0.7128
O 0.0757 0.6248 0.5573
O 0.0927 0.4554 0.2472
O 0.1174 0.1174 0.5624
O 0.1233 0.1233 0.1186
O 0.1819 0.7179 0.8557
O 0.1853 0.4579 0.7504
O 0.2067 0.7933 0.5000
O 0.2742 0.2742 0.9137
O 0.2821 0.8181 0.1443
O 0.2912 0.5407 0.0335
O 0.3260 0.9811 0.9120
O 0.3498 0.6215 0.6862
O 0.3554 0.3554 0.5759
O 0.3752 0.9243 0.4427
O 0.3777 0.3777 0.2194
O 0.3785 0.6502 0.3138
O 0.4530 0.4530 0.8636
O 0.4554 0.0927 0.2472
O 0.4579 0.1853 0.7504
O 0.4593 0.7088 0.9665
O 0.5407 0.2912 0.0335
O 0.5421 0.8147 0.2496
O 0.5446 0.9073 0.7528
O 0.5470 0.5470 0.1364
O 0.6215 0.3498 0.6862
O 0.6223 0.6223 0.7806
O 0.6248 0.0757 0.5573
O 0.6446 0.6446 0.4241
O 0.6502 0.3785 0.3138
O 0.6740 0.0189 0.0880
O 0.7088 0.4593 0.9665
O 0.7179 0.1819 0.8557
O 0.7258 0.7258 0.0863
O 0.7933 0.2067 0.5000
O 0.8147 0.5421 0.2496
O 0.8181 0.2821 0.1443
O 0.8767 0.8767 0.8814
O 0.8826 0.8826 0.4376
O 0.9073 0.5446 0.7528
O 0.9243 0.3752 0.4427
O 0.9804 0.9804 0.2872
O 0.9811 0.3260 0.9120

Calculated values
Crystal system: monoclinic
Space group: C2/m (12)
VASP energy: -6.0611 eV/atom
E (MP2020): -6.592 eV per atom


Size of the total moment readings, ordered: 3.0 7.0 0.0 μB per formula unit